[1]
A plane-wave DFT calculation with PBE+U was carried out for a geometry-optimized KLiMoO4 structure.

Output
Symmetry = P2_1/c, No. 14

Cell lengths 9.633, 9.181, 19.340 Å; angles 90.00, 119.63, 90.00 degrees
Element x y z (fractional)
K: 0.001 0.009 0.248
K: 0.001 0.491 0.748
K: 0.304 0.037 0.070
K: 0.304 0.463 0.570
K: 0.350 0.029 0.588
K: 0.350 0.471 0.088
K: 0.650 0.529 0.912
K: 0.650 0.971 0.412
K: 0.696 0.537 0.430
K: 0.696 0.963 0.930
K: 0.999 0.509 0.252
K: 0.999 0.991 0.752
Li: 0.018 0.171 0.420
Li: 0.018 0.329 0.920
Li: 0.323 0.169 0.240
Li: 0.323 0.331 0.740
Li: 0.341 0.670 0.409
Li: 0.341 0.830 0.909
Li: 0.659 0.170 0.091
Li: 0.659 0.330 0.591
Li: 0.677 0.669 0.260
Li: 0.677 0.831 0.760
Li: 0.982 0.671 0.080
Li: 0.982 0.829 0.580
Mo: 0.024 0.713 0.918
Mo: 0.024 0.787 0.418
Mo: 0.313 0.717 0.737
Mo: 0.313 0.783 0.237
Mo: 0.341 0.215 0.907
Mo: 0.341 0.285 0.407
Mo: 0.659 0.715 0.593
Mo: 0.659 0.785 0.093
Mo: 0.687 0.217 0.763
Mo: 0.687 0.283 0.263
Mo: 0.976 0.213 0.582
Mo: 0.976 0.287 0.082
O: 0.080 0.246 0.527
O: 0.080 0.254 0.027
O: 0.100 0.531 0.936
O: 0.100 0.969 0.436
O: 0.112 0.233 0.686
O: 0.112 0.267 0.186
O: 0.130 0.225 0.873
O: 0.130 0.275 0.373
O: 0.187 0.661 0.449
O: 0.187 0.839 0.949
O: 0.214 0.658 0.155
O: 0.214 0.842 0.655
O: 0.236 0.735 0.804
O: 0.236 0.765 0.304
O: 0.274 0.534 0.699
O: 0.274 0.966 0.199
O: 0.384 0.034 0.890
O: 0.384 0.466 0.390
O: 0.396 0.157 0.354
O: 0.396 0.343 0.854
O: 0.448 0.248 0.513
O: 0.448 0.252 0.013
O: 0.475 0.250 0.210
O: 0.475 0.250 0.710
O: 0.525 0.750 0.290
O: 0.525 0.750 0.790
O: 0.552 0.748 0.987
O: 0.552 0.752 0.487
O: 0.604 0.657 0.146
O: 0.604 0.843 0.646
O: 0.616 0.534 0.610
O: 0.616 0.966 0.110
O: 0.726 0.034 0.801
O: 0.726 0.466 0.301
O: 0.764 0.235 0.696
O: 0.764 0.265 0.196
O: 0.786 0.158 0.345
O: 0.786 0.342 0.845
O: 0.813 0.161 0.051
O: 0.813 0.339 0.551
O: 0.870 0.725 0.627
O: 0.870 0.775 0.127
O: 0.888 0.733 0.814
O: 0.888 0.767 0.314
O: 0.900 0.031 0.564
O: 0.900 0.469 0.064
O: 0.920 0.746 0.973
O: 0.920 0.754 0.473

[2]
A plane-wave DFT calculation with PBE+U was carried out for a geometry-optimized KLiSm2Mo4O16 structure.

Output
Symmetry = C2/c, No. 15

Cell lengths 7.010, 7.010, 19.753 Å; angles 91.12, 91.12, 135.13 degrees
Element x y z (fractional)
K: 0.031 0.969 0.750
K: 0.969 0.031 0.250
Li: 0.314 0.686 0.750
Li: 0.686 0.314 0.250
Sm: 0.146 0.853 0.533
Sm: 0.147 0.854 0.967
Sm: 0.853 0.146 0.033
Sm: 0.854 0.147 0.467
Mo: 0.247 0.733 0.351
Mo: 0.267 0.753 0.149
Mo: 0.419 0.544 0.908
Mo: 0.456 0.581 0.592
Mo: 0.544 0.419 0.408
Mo: 0.581 0.456 0.092
Mo: 0.733 0.247 0.851
Mo: 0.753 0.267 0.649
O: 0.012 0.732 0.174
O: 0.064 0.472 0.286
O: 0.069 0.588 0.432
O: 0.104 0.407 0.134
O: 0.172 0.510 0.957
O: 0.225 0.312 0.398
O: 0.226 0.265 0.538
O: 0.265 0.226 0.038
O: 0.268 0.988 0.326
O: 0.302 0.486 0.671
O: 0.312 0.225 0.898
O: 0.407 0.104 0.634
O: 0.412 0.931 0.068
O: 0.472 0.064 0.786
O: 0.486 0.302 0.171
O: 0.490 0.828 0.543
O: 0.510 0.172 0.457
O: 0.514 0.698 0.829
O: 0.528 0.936 0.214
O: 0.588 0.069 0.932
O: 0.593 0.896 0.366
O: 0.688 0.775 0.102
O: 0.698 0.514 0.329
O: 0.732 0.012 0.674
O: 0.735 0.774 0.962
O: 0.774 0.735 0.462
O: 0.775 0.688 0.602
O: 0.828 0.490 0.043
O: 0.896 0.593 0.866
O: 0.931 0.412 0.568
O: 0.936 0.528 0.714
O: 0.988 0.268 0.826

[3]
A plane-wave DFT calculation with PBE+U was carried out for a geometry-optimized KLiY2Mo4O16 structure.

Output
Symmetry = C2/c, No. 15

Cell lengths 6.925, 6.925, 19.637 Å; angles 91.17, 91.17, 135.13 degrees
Element x y z (fractional)
K: 0.031 0.969 0.750
K: 0.969 0.031 0.250
Li: 0.314 0.686 0.750
Li: 0.686 0.314 0.250
Y: 0.147 0.853 0.533
Y: 0.147 0.853 0.967
Y: 0.853 0.147 0.033
Y: 0.853 0.147 0.467
Mo: 0.247 0.732 0.352
Mo: 0.268 0.753 0.148
Mo: 0.418 0.543 0.908
Mo: 0.457 0.582 0.592
Mo: 0.543 0.418 0.408
Mo: 0.582 0.457 0.092
Mo: 0.732 0.247 0.852
Mo: 0.753 0.268 0.648
O: 0.011 0.732 0.173
O: 0.064 0.471 0.286
O: 0.064 0.583 0.433
O: 0.100 0.402 0.132
O: 0.167 0.507 0.958
O: 0.221 0.312 0.398
O: 0.222 0.261 0.537
O: 0.261 0.222 0.037
O: 0.268 0.989 0.327
O: 0.301 0.484 0.671
O: 0.312 0.221 0.898
O: 0.402 0.100 0.632
O: 0.417 0.936 0.067
O: 0.471 0.064 0.786
O: 0.484 0.301 0.171
O: 0.493 0.833 0.542
O: 0.507 0.167 0.458
O: 0.516 0.699 0.829
O: 0.529 0.936 0.214
O: 0.583 0.064 0.933
O: 0.598 0.900 0.368
O: 0.688 0.779 0.102
O: 0.699 0.516 0.329
O: 0.732 0.011 0.673
O: 0.739 0.778 0.963
O: 0.778 0.739 0.463
O: 0.779 0.688 0.602
O: 0.833 0.493 0.042
O: 0.900 0.598 0.868
O: 0.936 0.417 0.567
O: 0.936 0.529 0.714
O: 0.989 0.268 0.827

[4]
A plane-wave DFT calculation with PBE+U was carried out for a geometry-optimized K4Li3Nb18P12W2O84 structure.

Output
Symmetry = Pm, No. 6

Cell lengths 10.580, 10.647, 15.852 Å; angles 90.00, 90.12, 90.00 degrees
Element x y z (fractional)
K: 0.000 0.000 0.000
K: 0.003 0.500 0.094
K: 0.390 0.500 0.508
K: 0.501 0.000 0.500
Li: 0.309 0.500 0.965
Li: 0.687 0.500 0.034
Li: 0.807 0.500 0.534
Nb: 0.069 0.176 0.223
Nb: 0.069 0.824 0.223
Nb: 0.171 0.500 0.291
Nb: 0.325 0.500 0.782
Nb: 0.359 0.180 0.078
Nb: 0.359 0.820 0.078
Nb: 0.430 0.177 0.723
Nb: 0.430 0.823 0.723
Nb: 0.569 0.175 0.278
Nb: 0.569 0.825 0.278
Nb: 0.635 0.181 0.923
Nb: 0.635 0.819 0.923
Nb: 0.668 0.500 0.217
Nb: 0.827 0.500 0.717
Nb: 0.861 0.181 0.423
Nb: 0.861 0.819 0.423
Nb: 0.927 0.175 0.779
Nb: 0.927 0.825 0.779
P: 0.118 0.500 0.620
P: 0.214 0.232 0.880
P: 0.214 0.768 0.880
P: 0.285 0.230 0.380
P: 0.285 0.770 0.380
P: 0.378 0.500 0.123
P: 0.618 0.500 0.878
P: 0.714 0.232 0.619
P: 0.714 0.768 0.619
P: 0.784 0.232 0.119
P: 0.784 0.768 0.119
P: 0.878 0.500 0.378
W: 0.142 0.181 0.577
W: 0.142 0.819 0.577
O: 0.003 0.204 0.501
O: 0.003 0.796 0.501
O: 0.025 0.500 0.375
O: 0.028 0.000 0.230
O: 0.057 0.203 0.675
O: 0.057 0.797 0.675
O: 0.072 0.207 0.860
O: 0.072 0.793 0.860
O: 0.100 0.368 0.229
O: 0.100 0.632 0.229
O: 0.128 0.000 0.572
O: 0.166 0.500 0.713
O: 0.172 0.382 0.574
O: 0.172 0.618 0.574
O: 0.187 0.163 0.136
O: 0.187 0.837 0.136
O: 0.203 0.159 0.315
O: 0.203 0.841 0.315
O: 0.236 0.181 0.969
O: 0.236 0.819 0.969
O: 0.240 0.375 0.876
O: 0.240 0.625 0.876
O: 0.260 0.182 0.471
O: 0.260 0.818 0.471
O: 0.263 0.373 0.375
O: 0.263 0.627 0.375
O: 0.295 0.163 0.813
O: 0.295 0.837 0.813
O: 0.308 0.163 0.634
O: 0.308 0.837 0.634
O: 0.327 0.386 0.072
O: 0.327 0.614 0.072
O: 0.331 0.500 0.215
O: 0.376 0.000 0.072
O: 0.399 0.368 0.726
O: 0.399 0.632 0.726
O: 0.427 0.203 0.363
O: 0.427 0.797 0.363
O: 0.443 0.209 0.179
O: 0.443 0.791 0.179
O: 0.466 0.000 0.727
O: 0.471 0.500 0.877
O: 0.498 0.211 0.000
O: 0.498 0.789 0.000
O: 0.526 0.500 0.122
O: 0.528 0.000 0.270
O: 0.555 0.207 0.821
O: 0.555 0.793 0.821
O: 0.572 0.207 0.639
O: 0.572 0.793 0.639
O: 0.597 0.367 0.273
O: 0.597 0.633 0.273
O: 0.622 0.000 0.927
O: 0.668 0.500 0.786
O: 0.670 0.386 0.928
O: 0.670 0.614 0.928
O: 0.688 0.161 0.364
O: 0.688 0.839 0.364
O: 0.704 0.163 0.186
O: 0.704 0.837 0.186
O: 0.737 0.182 0.531
O: 0.737 0.818 0.531
O: 0.740 0.376 0.624
O: 0.740 0.624 0.624
O: 0.761 0.376 0.123
O: 0.761 0.624 0.123
O: 0.762 0.181 0.031
O: 0.762 0.819 0.031
O: 0.795 0.163 0.686
O: 0.795 0.837 0.686
O: 0.811 0.160 0.865
O: 0.811 0.840 0.865
O: 0.829 0.386 0.428
O: 0.829 0.614 0.428
O: 0.830 0.500 0.285
O: 0.877 0.000 0.428
O: 0.902 0.366 0.770
O: 0.902 0.634 0.770
O: 0.928 0.209 0.139
O: 0.928 0.791 0.139
O: 0.944 0.209 0.322
O: 0.944 0.791 0.322
O: 0.971 0.000 0.768
O: 0.971 0.500 0.620

[5]
A plane-wave DFT calculation with PBE+U was carried out for a geometry-optimized K2Li3NiO4 structure.

Output
Symmetry = P2_1/c, No. 14

Cell lengths 5.546, 8.796, 10.967 Å; angles 90.00, 111.50, 90.00 degrees
Element x y z (fractional)
K: 0.208 0.008 0.362
K: 0.208 0.492 0.862
K: 0.220 0.228 0.608
K: 0.220 0.272 0.108
K: 0.780 0.728 0.892
K: 0.780 0.772 0.392
K: 0.792 0.508 0.138
K: 0.792 0.992 0.638
Li: 0.124 0.737 0.698
Li: 0.124 0.763 0.198
Li: 0.134 0.006 0.933
Li: 0.134 0.494 0.433
Li: 0.408 0.530 0.299
Li: 0.408 0.970 0.799
Li: 0.592 0.030 0.201
Li: 0.592 0.470 0.701
Li: 0.866 0.506 0.567
Li: 0.866 0.994 0.067
Li: 0.876 0.237 0.802
Li: 0.876 0.263 0.302
Ni: 0.400 0.714 0.562
Ni: 0.400 0.786 0.062
Ni: 0.600 0.214 0.938
Ni: 0.600 0.286 0.438
O: 0.241 0.552 0.623
O: 0.241 0.948 0.123
O: 0.246 0.176 0.855
O: 0.246 0.324 0.355
O: 0.266 0.689 0.380
O: 0.266 0.811 0.880
O: 0.281 0.608 0.115
O: 0.281 0.892 0.615
O: 0.719 0.108 0.385
O: 0.719 0.392 0.885
O: 0.734 0.189 0.120
O: 0.734 0.311 0.620
O: 0.754 0.676 0.645
O: 0.754 0.824 0.145
O: 0.759 0.052 0.877
O: 0.759 0.448 0.377

[6]
A plane-wave DFT calculation with PBE+U was carried out for a geometry-optimized K2LiVO4 structure.

Output
Symmetry = C2/m, No. 12

Cell lengths 5.785, 5.785, 7.631 Å; angles 90.29, 90.29, 85.72 degrees
Element x y z (fractional)
K: 0.219 0.781 0.000
K: 0.297 0.297 0.322
K: 0.703 0.703 0.678
K: 0.781 0.219 0.000
Li: 0.178 0.822 0.500
Li: 0.822 0.178 0.500
V: 0.286 0.286 0.745
V: 0.714 0.714 0.255
O: 0.094 0.094 0.658
O: 0.206 0.566 0.672
O: 0.278 0.278 0.973
O: 0.434 0.794 0.328
O: 0.566 0.206 0.672
O: 0.722 0.722 0.027
O: 0.794 0.434 0.328
O: 0.906 0.906 0.342

no.,ΔH_f (0 K) (meV/atom),V (A^3/atom)
1,-2254,17.70
2,-2523,14.25
3,-2520,13.82
4,-2879,14.52
5,-1667,12.44
6,-2382,15.92